Record 1
This record from the Materials Project describes a relaxed LiLu2W2Cl2O8 crystal. The functional is PBE+U.

Cell lengths 5.991, 6.610, 7.161 Å; angles 73.77, 78.33, 69.57 degrees
Fractional positions:
Li1 0.253 0.751 0.060
Lu1 0.258 0.220 0.858
Lu2 0.744 0.773 0.146
W1 0.387 0.323 0.280
W2 0.630 0.649 0.724
Cl1 0.003 0.035 0.220
Cl2 0.995 0.963 0.797
O1 0.353 0.251 0.548
O2 0.656 0.755 0.462
O3 0.431 0.484 0.793
O4 0.541 0.550 0.190
O5 0.919 0.480 0.802
O6 0.094 0.526 0.181
O7 0.480 0.120 0.114
O8 0.515 0.870 0.864

Output
Volume ... 253 Å³/cell
Energy of formation from the pure elements ... -2.56 eV/atom
Theoretical density ... 6.1 g/cm3
M_tot ... 0.067 μB/atom
Final energy ... -6.948 eV per atom

Record 2
This record from the Materials Project describes a relaxed K2W2O7 crystal. The functional is PBE+U.

Cell lengths 3.889, 6.198, 14.097 Å; angles 90.00, 90.00, 90.06 degrees
Fractional positions:
K1 0.008 0.827 0.171
K2 0.992 0.673 0.671
K3 0.992 0.173 0.829
K4 0.008 0.327 0.329
W1 0.493 0.216 0.564
W2 0.507 0.284 0.064
W3 0.507 0.784 0.436
W4 0.493 0.716 0.936
O1 0.496 0.806 0.814
O2 0.504 0.694 0.314
O3 0.504 0.194 0.186
O4 0.496 0.306 0.686
O5 0.502 0.589 0.081
O6 0.498 0.911 0.581
O7 0.498 0.411 0.919
O8 0.502 0.089 0.419
O9 0.500 0.500 0.500
O10 0.500 0.000 0.000
O11 0.997 0.224 0.553
O12 0.997 0.724 0.947
O13 0.003 0.776 0.447
O14 0.003 0.276 0.053

Output
Volume ... 340 Å³/cell
Energy of formation from the pure elements ... -2.29 eV/atom
Theoretical density ... 5.5 g/cm3
Final energy ... -6.750 eV per atom